# 1
This record from the Materials Project database describes CuHgSBr after structural relaxation. The functional is PBE.

Space group ... Pbam (55)

a = 4.0992 Å, b = 10.1626 Å, c = 19.0544 Å
α = 90.00°, β = 90.00°, γ = 90.00°
With the nearest neighbours (Å) after each atom.
Positions (direct):
Cu 0.0000 0.9356 0.0886  2 S 2.25, 1 Br 2.43
Cu 0.0000 0.5644 0.5886  2 S 2.25, 1 Br 2.43
Cu 0.0000 0.4174 0.8849  2 S 2.27, 1 Br 2.49
Cu 0.0000 0.5826 0.1151  2 S 2.27, 1 Br 2.49
Cu 0.0000 0.9174 0.6151  2 S 2.27, 1 Br 2.49
Cu 0.0000 0.0826 0.3849  2 S 2.27, 1 Br 2.49
Cu 0.0000 0.4356 0.4114  2 S 2.25, 1 Br 2.43
Cu 0.0000 0.0644 0.9114  2 S 2.25, 1 Br 2.43
Hg 0.5000 0.0145 0.7576  2 S 2.44-2.45
Hg 0.5000 0.2471 0.6103  2 S 2.44-2.45
Hg 0.5000 0.9855 0.2424  2 S 2.44-2.45
Hg 0.5000 0.4855 0.2576  2 S 2.44-2.45
Hg 0.5000 0.5145 0.7424  2 S 2.44-2.45
Hg 0.5000 0.7471 0.8897  2 S 2.44-2.45
Hg 0.5000 0.2529 0.1103  2 S 2.44-2.45
Hg 0.5000 0.7529 0.3897  2 S 2.44-2.45
S 0.5000 0.4881 0.6146  2 Cu 2.25, 2 Hg 2.45
S 0.5000 0.0097 0.6295  2 Cu 2.27, 2 Hg 2.44
S 0.5000 0.9903 0.3705  2 Cu 2.27, 2 Hg 2.44
S 0.5000 0.9881 0.8854  2 Cu 2.25, 2 Hg 2.45
S 0.5000 0.4903 0.1295  2 Cu 2.27, 2 Hg 2.44
S 0.5000 0.5097 0.8705  2 Cu 2.27, 2 Hg 2.44
S 0.5000 0.0119 0.1146  2 Cu 2.25, 2 Hg 2.45
S 0.5000 0.5119 0.3854  2 Cu 2.25, 2 Hg 2.45
Br 0.0000 0.7397 0.0151  2 Cu 2.43-2.49
Br 0.0000 0.7448 0.2264  1 Cu 2.69
Br 0.0000 0.7552 0.7264  1 Cu 2.69
Br 0.0000 0.2603 0.9849  2 Cu 2.43-2.49
Br 0.0000 0.7603 0.5151  2 Cu 2.43-2.49
Br 0.0000 0.2552 0.7736  1 Cu 2.69
Br 0.0000 0.2448 0.2736  1 Cu 2.69
Br 0.0000 0.2397 0.4849  2 Cu 2.43-2.49



# 2
This record from the Materials Project database describes SmCo2Ni3 after structural relaxation. The functional is PBE.

Space group ... P6/mmm (191)

a = 4.9079 Å, b = 4.9079 Å, c = 3.9663 Å
α = 90.00°, β = 90.00°, γ = 120.00°
With the nearest neighbours (Å) after each atom.
Positions (direct):
Sm 0.0000 0.0000 0.0000  6 Co 2.83, 12 Ni 3.16
Co 0.6667 0.3333 0.0000  6 Ni 2.44
Co 0.3333 0.6667 0.0000  6 Ni 2.44
Ni 0.5000 0.5000 0.5000  4 Co 2.44, 4 Ni 2.45
Ni 0.5000 0.0000 0.5000  4 Co 2.44, 4 Ni 2.45
Ni 0.0000 0.5000 0.5000  4 Co 2.44, 4 Ni 2.45



# 3
This record from the Materials Project database describes Na3Sc2P3O12 after structural relaxation. The functional is PBE.

Space group ... Cc (9)

a = 8.9924 Å, b = 8.9924 Å, c = 9.2201 Å
α = 61.55°, β = 61.55°, γ = 60.22°
With the nearest neighbours (Å) after each atom.
Positions (direct):
Na 0.9594 0.6627 0.5600  5 O 2.37-2.57
Na 0.6627 0.9594 0.0600  5 O 2.37-2.57
Na 0.3960 0.6174 0.2355  8 O 2.47-2.75
Na 0.6174 0.3960 0.7355  8 O 2.47-2.75
Na 0.0970 0.2461 0.3213  6 O 2.37-2.65
Na 0.2461 0.0970 0.8213  6 O 2.37-2.65
Sc 0.1455 0.6515 0.0555  6 O 2.07-2.17
Sc 0.6515 0.1455 0.5555  6 O 2.07-2.17
Sc 0.8450 0.3506 0.9526  6 O 2.04-2.15
Sc 0.3506 0.8450 0.4526  6 O 2.04-2.15
P 0.4676 0.2479 0.2414  4 O 1.54-1.56
P 0.2479 0.4676 0.7414  4 O 1.54-1.56
P 0.5309 0.7499 0.7622  4 O 1.54-1.55
P 0.7499 0.5309 0.2622  4 O 1.54-1.55
P 0.0468 0.9578 0.2506  4 O 1.54-1.56
P 0.9578 0.0468 0.7506  4 O 1.54-1.56
O 0.2198 0.9424 0.2647  1 P 1.56
O 0.9424 0.2198 0.7647  1 P 1.56
O 0.7755 0.0772 0.7422  1 P 1.56
O 0.0772 0.7755 0.2422  1 P 1.56
O 0.6248 0.2593 0.0659  1 P 1.56
O 0.2593 0.6248 0.5659  1 P 1.56
O 0.3723 0.7390 0.9351  1 P 1.55
O 0.7390 0.3723 0.4351  1 P 1.55
O 0.5150 0.2481 0.3815  1 P 1.54
O 0.2481 0.5150 0.8815  1 P 1.54
O 0.4869 0.7426 0.6232  1 P 1.55
O 0.7426 0.4869 0.1232  1 P 1.55
O 0.4311 0.0747 0.2940  1 P 1.55
O 0.0747 0.4311 0.7940  1 P 1.55
O 0.5582 0.9288 0.7046  1 P 1.54
O 0.9288 0.5582 0.2046  1 P 1.54
O 0.2934 0.4139 0.2180  1 P 1.56
O 0.4139 0.2934 0.7180  1 P 1.56
O 0.7070 0.5865 0.7832  1 P 1.55
O 0.5865 0.7070 0.2832  1 P 1.55
O 0.0104 0.1165 0.0867  1 P 1.54
O 0.1165 0.0104 0.5867  1 P 1.54
O 0.9887 0.8863 0.9165  1 P 1.55
O 0.8863 0.9887 0.4165  1 P 1.55



# 4
This record from the Materials Project database describes ErLuMg2 after structural relaxation. The functional is PBE.

Space group ... Fm-3m (225)

a = 5.3042 Å, b = 5.3042 Å, c = 5.3042 Å
α = 60.00°, β = 60.00°, γ = 60.00°
With the nearest neighbours (Å) after each atom.
Positions (direct):
Er 0.5000 0.5000 0.5000  8 Mg 3.25
Lu 0.0000 0.0000 0.0000  8 Mg 3.25
Mg 0.2500 0.2500 0.2500  4 Er 3.25, 4 Lu 3.25
Mg 0.7500 0.7500 0.7500  4 Er 3.25, 4 Lu 3.25



# 5
This record from the Materials Project database describes SrCu2As2 after structural relaxation. The functional is PBE.

Space group ... I4/mmm (139)

a = 6.1633 Å, b = 6.1633 Å, c = 6.1633 Å
α = 139.82°, β = 139.82°, γ = 58.12°
With the nearest neighbours (Å) after each atom.
Positions (direct):
Sr 0.0000 0.0000 0.0000  8 As 3.30, 8 Cu 3.43
Cu 0.2500 0.7500 0.5000  4 As 2.49
Cu 0.7500 0.2500 0.5000  4 As 2.49
As 0.6281 0.6281 0.0000  4 Cu 2.49, 1 As 2.76
As 0.3719 0.3719 0.0000  4 Cu 2.49, 1 As 2.76



# 6
This record from the Materials Project database describes Sc3Nb after structural relaxation. The functional is PBE.

Space group ... I4/mmm (139)

a = 5.4579 Å, b = 5.4579 Å, c = 5.4579 Å
α = 131.78°, β = 131.78°, γ = 70.58°
With the nearest neighbours (Å) after each atom.
Positions (direct):
Sc 0.7500 0.2500 0.5000  8 Sc 3.15, 4 Nb 3.15
Sc 0.2500 0.7500 0.5000  8 Sc 3.15, 4 Nb 3.15
Sc 0.5000 0.5000 0.0000  8 Sc 3.15, 4 Nb 3.15
Nb 0.0000 0.0000 0.0000  12 Sc 3.15



Number 1: E_form -208 kJ/mol of formula units. Number 2: E_form -88 kJ/mol of formula units. Number 3: E_form -5935 kJ/mol of formula units. Number 4: E_form -21 kJ/mol of formula units. Number 5: E_form -248 kJ/mol of formula units. Number 6: E_form 38 kJ/mol of formula units.